(1)
La7SmV7CrO24 (GGA+U, optimized geometry); energy = -8.164 eV/atom
1.0
-6.730 4.114 0.688
0.887 0.087 7.867
4.098 6.751 -0.561
La Sm V Cr O
7 1 7 1 24
Cartesian
1.579 6.101 1.747 La
-1.740 8.135 2.090 La
2.015 6.149 5.630 La
-1.303 8.180 5.971 La
-3.760 4.801 2.363 La
-0.005 2.816 5.903 La
-3.324 4.849 6.246 La
-0.442 2.775 2.025 Sm
-3.364 2.057 0.345 V
-0.001 0.004 0.003 V
-2.919 2.101 4.275 V
0.443 0.044 3.933 V
-1.315 5.429 0.065 V
2.048 3.375 -0.280 V
2.490 3.418 3.651 V
-0.872 5.474 3.996 Cr
-0.297 7.107 -0.071 O
-2.770 9.251 8.128 O
0.136 7.140 3.861 O
3.505 5.097 3.513 O
-2.323 3.749 0.210 O
1.018 1.708 -0.121 O
-1.871 3.803 4.118 O
1.467 1.746 3.781 O
-3.128 2.079 2.322 O
0.217 0.047 1.980 O
-2.698 2.126 6.229 O
-1.965 10.921 6.017 O
-1.086 5.433 2.058 O
2.259 3.391 1.700 O
-0.654 5.500 5.936 O
2.708 3.442 5.606 O
-1.682 1.051 0.190 O
-0.057 9.912 7.815 O
-1.247 1.085 4.094 O
-4.589 3.125 4.447 O
0.351 4.400 -0.099 O
-2.986 6.452 0.239 O
0.776 4.448 3.813 O
-2.530 6.491 4.168 O


(2)
La6Sm2V5Cr3O24 (GGA+U, optimized geometry); energy = -8.138 eV/atom
1.0
7.913 0.000 0.000
0.000 7.861 0.000
0.000 0.007 7.915
La Sm V Cr O
6 2 5 3 24
Cartesian
5.955 5.892 1.960 La
1.959 5.892 1.960 La
5.955 1.973 1.958 La
1.958 1.973 1.958 La
5.955 1.976 5.954 La
1.958 1.976 5.954 La
5.959 5.892 5.960 Sm
1.954 5.892 5.960 Sm
0.000 7.863 7.911 V
3.957 7.864 7.911 V
0.000 7.860 3.962 V
3.957 7.861 3.962 V
3.957 3.939 3.963 V
0.000 3.941 7.911 Cr
3.957 3.942 7.911 Cr
0.000 3.938 3.961 Cr
0.000 0.005 1.956 O
3.957 7.860 1.977 O
0.000 3.934 1.981 O
3.957 3.929 1.950 O
0.000 7.840 5.958 O
3.957 7.847 5.938 O
0.000 3.960 5.934 O
3.957 3.965 5.966 O
0.000 5.868 7.888 O
3.957 5.902 7.893 O
0.000 2.000 0.000 O
3.957 1.974 7.912 O
0.000 5.886 3.983 O
3.957 5.902 3.981 O
0.000 1.981 3.956 O
3.957 1.968 3.956 O
5.956 7.856 7.903 O
1.958 7.856 7.903 O
5.936 3.951 7.902 O
1.978 3.951 7.902 O
5.959 7.853 3.969 O
1.954 7.853 3.969 O
5.942 3.946 3.970 O
1.971 3.946 3.970 O


(3)
La5Sm3VCr7O24 (GGA+U, optimized geometry); energy = -8.115 eV/atom
1.0
5.530 5.538 0.000
-5.530 5.538 0.000
0.000 0.023 7.830
La Sm V Cr O
5 3 1 7 24
Cartesian
2.765 5.553 5.870 La
0.000 2.789 5.873 La
0.000 8.316 5.864 La
-2.765 5.553 5.870 La
0.000 8.312 1.956 La
2.761 5.547 1.964 Sm
0.000 2.784 1.966 Sm
-2.761 5.547 1.964 Sm
0.000 0.007 0.010 V
2.761 2.770 0.009 Cr
-2.761 2.770 0.009 Cr
0.000 5.534 0.008 Cr
0.000 0.016 3.906 Cr
2.761 2.781 3.906 Cr
-2.761 2.781 3.906 Cr
0.000 5.546 3.906 Cr
0.000 11.082 5.858 O
2.763 2.785 5.871 O
-2.763 2.785 5.871 O
0.000 5.554 5.871 O
0.000 0.037 1.974 O
2.746 2.776 1.959 O
-2.746 2.776 1.959 O
0.000 5.525 1.958 O
-1.388 1.399 0.037 O
1.382 4.155 0.030 O
-4.135 4.150 0.006 O
-1.393 6.911 0.016 O
-1.383 1.398 3.886 O
1.382 4.165 3.885 O
-4.136 4.174 3.897 O
-1.393 6.923 3.897 O
4.135 4.150 0.006 O
1.388 1.399 0.037 O
1.393 6.911 0.016 O
-1.382 4.155 0.030 O
4.136 4.174 3.897 O
1.383 1.398 3.886 O
1.393 6.923 3.897 O
-1.382 4.165 3.885 O


(4)
La5Sm3V2Cr6O24 (GGA+U, optimized geometry); energy = -8.115 eV/atom
1.0
5.530 -5.548 0.000
5.530 5.548 0.000
0.000 0.000 7.844
La Sm V Cr O
5 3 2 6 24
Cartesian
2.765 -0.006 3.922 La
5.530 -2.771 3.922 La
5.530 2.754 3.922 La
8.295 -0.006 3.922 La
5.530 2.772 0.000 La
2.773 0.007 0.000 Sm
5.530 -2.755 0.000 Sm
8.288 0.007 0.000 Sm
5.530 -5.541 5.892 V
5.530 -5.541 1.951 V
2.769 -2.773 5.892 Cr
8.292 -2.773 5.892 Cr
5.530 -0.005 5.891 Cr
2.769 -2.773 1.952 Cr
8.292 -2.773 1.952 Cr
5.530 -0.005 1.952 Cr
5.530 5.529 3.922 O
2.769 -2.776 3.922 O
8.292 -2.776 3.922 O
5.530 -0.002 3.922 O
5.530 -5.509 0.000 O
2.784 -2.772 0.000 O
8.276 -2.772 0.000 O
5.530 -0.021 0.000 O
6.919 -4.146 5.922 O
4.149 -1.386 5.915 O
9.663 -1.392 5.891 O
6.924 1.373 5.901 O
6.919 -4.146 1.922 O
4.149 -1.386 1.929 O
9.663 -1.392 1.952 O
6.924 1.373 1.942 O
1.397 -1.392 5.891 O
4.141 -4.146 5.922 O
4.137 1.373 5.901 O
6.912 -1.386 5.915 O
1.397 -1.392 1.952 O
4.141 -4.146 1.922 O
4.137 1.373 1.942 O
6.912 -1.386 1.929 O


(5)
SrLaCrSnO6 (GGA+U, optimized geometry); energy = -7.192 eV/atom
1.0
-3.815 -1.478 -3.950
-1.849 -5.370 -0.299
-5.331 -1.261 1.527
Sr La Cr Sn O
1 1 1 1 6
Cartesian
-2.749 -2.027 -0.680 Sr
-8.247 -6.082 -2.041 La
0.000 0.000 0.000 Cr
-5.498 -4.054 -1.361 Sn
-4.645 -2.749 -2.673 O
-6.350 -5.360 -0.049 O
-7.346 -3.388 -1.899 O
-3.649 -4.721 -0.823 O
-5.582 -5.470 -2.824 O
-5.413 -2.639 0.102 O


(6)
SrLa3Cr4O12 (GGA+U, optimized geometry); energy = -7.952 eV/atom
1.0
-2.524 -2.430 4.284
4.061 4.621 4.833
-4.047 3.844 -0.286
Sr La Cr O
1 3 4 12
Cartesian
-0.267 -0.058 3.338 Sr
1.046 5.385 3.496 La
-2.243 6.109 5.505 La
-3.545 0.642 5.327 La
-2.523 -2.423 4.288 Cr
-1.259 3.004 4.399 Cr
-4.541 3.720 6.411 Cr
0.774 5.325 6.834 Cr
2.787 3.695 3.605 O
-2.444 2.104 3.227 O
-5.280 2.317 5.227 O
-0.018 3.906 5.619 O
-1.289 4.686 3.319 O
-0.953 5.325 7.811 O
-2.640 -0.791 3.140 O
0.283 2.401 3.447 O
-2.740 3.707 5.443 O
0.053 6.760 5.628 O
-1.595 0.719 0.970 O
-1.232 1.386 5.564 O


> The highest energy belongs to which entry?

SrLaCrSnO6


> Which formula does entry 1 have?

La7SmV7CrO24